Tm10Ti6O27: optimized geometry, PBE.

Cell: 7.3629 7.3629 12.0839 Å, 108.68 108.68 61.42°
Closest atoms and distances in Å follow each position.
Sites, in units of the cell vectors:
Tm 0.0000 0.0000 0.0000  6 O 2.16-2.37
Tm 0.2524 0.2524 0.7303  3 O 2.10-2.12
Tm 0.2691 0.7413 0.2670  7 O 2.15-2.39
Tm 0.5089 0.9927 0.0002  5 O 2.13-2.38
Tm 0.5116 0.5116 0.0034  4 O 2.12-2.26
Tm 0.5363 0.9785 0.4963  6 O 2.13-2.35
Tm 0.7413 0.2691 0.2670  7 O 2.15-2.39
Tm 0.9785 0.5363 0.4963  6 O 2.13-2.35
Tm 0.9904 0.9904 0.4902  5 O 2.08-2.25
Tm 0.9927 0.5089 0.0002  5 O 2.13-2.38
Ti 0.2618 0.2618 0.2522  4 O 1.87-2.05
Ti 0.2749 0.7630 0.7492  2 O 1.85-2.03
Ti 0.5193 0.5193 0.5282  5 O 1.89-2.10
Ti 0.7620 0.7620 0.7403  5 O 1.88-2.07
Ti 0.7630 0.2749 0.7492  2 O 1.85-2.03
Ti 0.7657 0.7657 0.2330  5 O 1.92-2.07
O 0.0197 0.0197 0.6846  2 Ti 2.08, 1 Tm 2.24
O 0.0240 0.3523 0.3152  1 Ti 1.87
O 0.0326 0.6471 0.7051  1 Ti 1.89
O 0.0434 0.5762 0.2020  1 Ti 1.92
O 0.1969 0.1969 0.0796  1 Ti 1.94
O 0.2060 0.6755 0.0655  4 Tm 2.23-2.37
O 0.2508 0.6157 0.5619  1 Ti 1.89
O 0.2695 0.8283 0.9094  1 Ti 1.85
O 0.3044 0.8711 0.4773  2 Tm 2.08-2.13
O 0.3523 0.0240 0.3152  1 Ti 1.87
O 0.3956 0.9817 0.8040  1 Ti 2.03, 2 Tm 2.10-2.24
O 0.4328 0.4328 0.8016  2 Tm 2.12-2.26, 2 Ti 2.34
O 0.4343 0.4343 0.3459  2 Ti 2.05-2.06
O 0.5762 0.0434 0.2020  1 Ti 1.92
O 0.5914 0.5914 0.7157  4 Ti 2.07-2.16
O 0.6064 0.6064 0.2197  1 Ti 1.96
O 0.6157 0.2508 0.5619  1 Ti 1.89
O 0.6471 0.0326 0.7051  1 Ti 1.89
O 0.6755 0.2060 0.0655  4 Tm 2.23-2.37
O 0.6801 0.6801 0.5586  2 Ti 1.93-2.05
O 0.6906 0.6906 0.0483  1 Ti 2.07, 3 Tm 2.12-2.13
O 0.8061 0.8061 0.4123  1 Ti 2.03, 3 Tm 2.15-2.17
O 0.8174 0.8174 0.9081  1 Ti 1.88
O 0.8283 0.2695 0.9094  1 Ti 1.85
O 0.8711 0.3044 0.4773  2 Tm 2.08-2.13
O 0.9542 0.9542 0.2933  3 Tm 2.15-2.25, 1 Ti 2.22
O 0.9817 0.3956 0.8040  1 Ti 2.03, 2 Tm 2.10-2.24

Computed properties:
The value obtained for the total energy is -365.4 eV/cell. The formation enthalpy at 0 K comes out at -3.68 eV per atom. The value obtained for the offset from the most stable computed form is 0.109 eV per atom.